# Li4MnCo2O7, relaxed, DFT PBE+U
# **Corrected total energy (MP2020 scheme)**: -181.8 eV for the cell shown
# **Energy of formation**: -25.3 eV per formula unit
data_Li4MnCo2O7
_cell_length_a 3.0292
_cell_length_b 7.7957
_cell_length_c 11.1499
_cell_angle_alpha 79.56
_cell_angle_beta 83.41
_cell_angle_gamma 83.35
_symmetry_space_group_name_H-M 'P 1'
_symmetry_Int_Tables_number 1
_symmetry_space_group_name_Hall 'P 1'
loop_
_atom_site_label
_atom_site_type_symbol
_atom_site_fract_x
_atom_site_fract_y
_atom_site_fract_z
Li1 Li 0.0000 0.0000 0.0000
Li2 Li 0.0723 0.2153 0.6425
Li3 Li 0.2098 0.6440 0.9327
Li4 Li 0.3603 0.0688 0.2104
Li5 Li 0.5035 0.5014 0.4969
Li6 Li 0.6358 0.9334 0.7918
Li7 Li 0.7867 0.3594 0.0678
Li8 Li 0.9275 0.7862 0.3539
Mn1 Mn 0.2809 0.8628 0.5700
Mn2 Mn 0.8594 0.5687 0.7165
Co1 Co 0.1429 0.4302 0.2826
Co2 Co 0.4380 0.2723 0.8628
Co3 Co 0.5702 0.7277 0.1384
Co4 Co 0.7061 0.1475 0.4251
O1 O 0.0528 0.1210 0.8247
O2 O 0.0697 0.3221 0.4528
O3 O 0.2023 0.5422 0.1158
O4 O 0.2233 0.7509 0.7441
O5 O 0.3403 0.9747 0.3993
O6 O 0.3877 0.1926 0.0199
O7 O 0.4828 0.3907 0.6933
O8 O 0.5534 0.6085 0.3056
O9 O 0.6107 0.8075 0.9814
O10 O 0.6567 0.0392 0.5946
O11 O 0.7215 0.2558 0.2578
O12 O 0.8054 0.4564 0.8855
O13 O 0.9228 0.6790 0.5428
O14 O 0.9563 0.8799 0.1749